# 1
A geometry-optimized Pr3Cr structure. Source: the Materials Project database, functional PBE.

Calculated volume ... 30.84 Å³/atom
Energy of formation ... 0.37 eV/atom
Theoretical density ... 6.39 g cm⁻³
Crystal system ... tetragonal

Cell and atoms, written as CIF:
```
data_Pr3Cr
_chemical_formula_sum 'Pr3 Cr1'
_space_group_name_H-M_alt 'P 1'
_space_group_IT_number 1
_space_group_name_Hall 'P 1'
_cell_length_a 6.2480
_cell_length_b 6.2480
_cell_length_c 6.2480
_cell_angle_alpha 134.20
_cell_angle_beta 134.20
_cell_angle_gamma 66.78
loop_
_atom_site_label
_atom_site_fract_x
_atom_site_fract_y
_atom_site_fract_z
Cr1 0.0000 0.0000 0.0000
Pr1 0.2500 0.7500 0.5000
Pr2 0.5000 0.5000 0.0000
Pr3 0.7500 0.2500 0.5000
```

=====

# 2
A geometry-optimized YSiPt2 structure. Source: the Materials Project database, functional PBE.

Calculated volume ... 17.74 Å³/atom
Energy of formation ... -1.16 eV/atom
Theoretical density ... 11.87 g cm⁻³
Crystal system ... orthorhombic

Cell and atoms, written as CIF:
```
data_YSiPt2
_chemical_formula_sum 'Y4 Si4 Pt8'
_space_group_name_H-M_alt 'P 1'
_space_group_IT_number 1
_space_group_name_Hall 'P 1'
_cell_length_a 5.5457
_cell_length_b 6.9493
_cell_length_c 7.3640
_cell_angle_alpha 90.00
_cell_angle_beta 90.00
_cell_angle_gamma 90.00
loop_
_atom_site_label
_atom_site_fract_x
_atom_site_fract_y
_atom_site_fract_z
Pt1 0.4072 0.0512 0.3196
Si1 0.6376 0.7500 0.3801
Pt2 0.9072 0.9488 0.1804
Si2 0.3624 0.2500 0.6199
Y1 0.1365 0.7500 0.5284
Si3 0.1376 0.2500 0.1199
Pt3 0.5928 0.5512 0.6804
Pt4 0.0928 0.4488 0.8196
Pt5 0.9072 0.5512 0.1804
Si4 0.8624 0.7500 0.8801
Y2 0.6365 0.2500 0.9716
Pt6 0.4072 0.4488 0.3196
Pt7 0.5928 0.9488 0.6804
Pt8 0.0928 0.0512 0.8196
Y3 0.3635 0.7500 0.0284
Y4 0.8635 0.2500 0.4716
```

=====

# 3
A geometry-optimized Lu2MgS4 structure. Source: the Materials Project database, functional PBE.

Energy above the most stable polymorph in this dataset ... 0.120 eV per atom
Calculated volume ... 19.56 Å³/atom
Energy of formation ... -2.06 eV/atom
Theoretical density ... 6.09 g cm⁻³
Crystal system ... tetragonal

Cell and atoms, written as CIF:
```
data_Lu2MgS4
_chemical_formula_sum 'Lu4 Mg2 S8'
_space_group_name_H-M_alt 'P 1'
_space_group_IT_number 1
_space_group_name_Hall 'P 1'
_cell_length_a 7.0868
_cell_length_b 7.0868
_cell_length_c 7.0868
_cell_angle_alpha 110.32
_cell_angle_beta 110.32
_cell_angle_gamma 107.78
loop_
_atom_site_label
_atom_site_fract_x
_atom_site_fract_y
_atom_site_fract_z
S1 0.1200 0.2480 0.7401
Lu1 0.5074 0.1250 0.8824
S2 0.6300 0.8700 0.6280
S3 0.5080 0.3800 0.2599
Lu2 0.2425 0.6250 0.1175
S4 0.2420 0.0020 0.3720
Lu3 0.8750 0.7574 0.3825
Mg1 0.0000 0.0000 0.0000
Mg2 0.7500 0.2500 0.5000
S5 0.7520 0.4920 0.8720
S6 0.9980 0.3700 0.2401
Lu4 0.3750 0.4925 0.6175
S7 0.6200 0.8800 0.1280
S8 0.1300 0.7580 0.7599
```

=====

# 4
A geometry-optimized Cu4P3O12 structure. Source: the Materials Project database, functional PBE.

Energy above the most stable polymorph in this dataset ... 0.026 eV per atom
Calculated volume ... 11.71 Å³/atom
Energy of formation ... -1.83 eV/atom
Theoretical density ... 4.02 g cm⁻³
Crystal system ... orthorhombic

Cell and atoms, written as CIF:
```
data_Cu4P3O12
_chemical_formula_sum 'Cu16 P12 O48'
_space_group_name_H-M_alt 'P 1'
_space_group_IT_number 1
_space_group_name_Hall 'P 1'
_cell_length_a 6.0321
_cell_length_b 14.5181
_cell_length_c 10.1661
_cell_angle_alpha 90.00
_cell_angle_beta 90.00
_cell_angle_gamma 90.00
loop_
_atom_site_label
_atom_site_fract_x
_atom_site_fract_y
_atom_site_fract_z
O1 0.4621 0.5183 0.6992
Cu1 0.0610 0.6344 0.8531
O2 0.4198 0.1606 0.1652
O3 0.4427 0.2500 0.9575
Cu2 0.6430 0.9054 0.0671
Cu3 0.0610 0.8656 0.8531
P1 0.3635 0.0690 0.6357
O4 0.0379 0.3877 0.9668
Cu4 0.8570 0.0946 0.5671
O5 0.8158 0.3657 0.7507
Cu5 0.4390 0.1344 0.3531
P2 0.1365 0.5690 0.1357
O6 0.8158 0.1343 0.7507
O7 0.9427 0.2500 0.5425
O8 0.1842 0.8657 0.2493
O9 0.0379 0.0183 0.1992
O10 0.9198 0.1606 0.3348
Cu6 0.1430 0.5946 0.4329
O11 0.9621 0.8877 0.0332
O12 0.4198 0.3394 0.1652
P3 0.6365 0.9310 0.3643
P4 0.3635 0.4310 0.6357
Cu7 0.3570 0.0946 0.9329
Cu8 0.9390 0.3656 0.1469
O13 0.3400 0.9505 0.0457
P5 0.5125 0.2500 0.1012
O14 0.2215 0.7500 0.8853
Cu9 0.4390 0.3656 0.3531
O15 0.0379 0.4817 0.1992
Cu10 0.6430 0.5946 0.0671
Cu11 0.5610 0.6344 0.6469
O16 0.2785 0.2500 0.3853
P6 0.8635 0.4310 0.8643
O17 0.7785 0.2500 0.1147
O18 0.4621 0.9817 0.6992
O19 0.6842 0.8657 0.2507
O20 0.3158 0.3657 0.7493
O21 0.9621 0.6123 0.0332
O22 0.1600 0.0495 0.5457
O23 0.4621 0.6123 0.4668
O24 0.0802 0.6606 0.6652
O25 0.5379 0.3877 0.5332
Cu12 0.1430 0.9054 0.4329
Cu13 0.9390 0.1344 0.1469
P7 0.4875 0.7500 0.8988
P8 0.1365 0.9310 0.1357
O26 0.9621 0.9817 0.8008
O27 0.1842 0.6343 0.2493
O28 0.5379 0.0183 0.3008
O29 0.1600 0.4505 0.5457
O30 0.6600 0.4505 0.9543
O31 0.5379 0.4817 0.3008
P9 0.8635 0.0690 0.8643
O32 0.8400 0.9505 0.4543
O33 0.7215 0.7500 0.6147
O34 0.9621 0.5183 0.8008
P10 0.6365 0.5690 0.3643
O35 0.8400 0.5495 0.4543
Cu14 0.3570 0.4054 0.9329
O36 0.5802 0.8394 0.8348
P11 0.0125 0.2500 0.3988
O37 0.5802 0.6606 0.8348
O38 0.0802 0.8394 0.6652
O39 0.9198 0.3394 0.3348
O40 0.3400 0.5495 0.0457
O41 0.0379 0.1123 0.9668
Cu15 0.5610 0.8656 0.6469
O42 0.5379 0.1123 0.5332
O43 0.6842 0.6343 0.2507
Cu16 0.8570 0.4054 0.5671
O44 0.3158 0.1343 0.7493
O45 0.6600 0.0495 0.9543
O46 0.5573 0.7500 0.0425
O47 0.0573 0.7500 0.4575
P12 0.9875 0.7500 0.6012
O48 0.4621 0.8877 0.4668
```

=====

# 5
A geometry-optimized Na2PbO3 structure. Source: the Materials Project database, functional PBE.

Calculated volume ... 13.66 Å³/atom
Energy of formation ... -1.69 eV/atom
Theoretical density ... 6.10 g cm⁻³
Crystal system ... monoclinic

Cell and atoms, written as CIF:
```
data_Na2PbO3
_chemical_formula_sum 'Na8 Pb4 O12'
_space_group_name_H-M_alt 'P 1'
_space_group_IT_number 1
_space_group_name_Hall 'P 1'
_cell_length_a 5.8188
_cell_length_b 5.8188
_cell_length_c 11.3583
_cell_angle_alpha 85.04
_cell_angle_beta 85.04
_cell_angle_gamma 120.06
loop_
_atom_site_label
_atom_site_fract_x
_atom_site_fract_y
_atom_site_fract_z
O1 0.7376 0.5454 0.3622
O2 0.2624 0.4546 0.6378
O3 0.9821 0.8147 0.6388
Pb1 0.2502 0.7498 0.7500
O4 0.0179 0.1853 0.3612
Na1 0.0000 0.5000 0.5000
O5 0.3785 0.9082 0.3607
Na2 0.5000 0.0000 0.0000
Na3 0.8187 0.6605 0.0005
Na4 0.6605 0.8187 0.5005
Na5 0.4158 0.5842 0.2500
Pb2 0.9175 0.0825 0.7500
Na6 0.1813 0.3395 0.9995
Na7 0.3395 0.1813 0.4995
Pb3 0.0825 0.9175 0.2500
O6 0.9082 0.3785 0.8607
O7 0.6215 0.0918 0.6393
O8 0.0918 0.6215 0.1393
O9 0.8147 0.9821 0.1388
Pb4 0.7498 0.2502 0.2500
O10 0.4546 0.2624 0.1378
Na8 0.5842 0.4158 0.7500
O11 0.5454 0.7376 0.8622
O12 0.1853 0.0179 0.8612
```

=====

> Which formula does entry 3 have?

Lu2MgS4